# 1
# Li4FeBiTe2O12 | the Materials Project | PBE+U | optimized geometry
# - Formation enthalpy at 0 K: -1.766 eV per atom
# - E_tot: -5.524 eV per atom
data_Li4FeBiTe2O12
_cell_length_a 5.2411
_cell_length_b 5.4995
_cell_length_c 7.6238
_cell_angle_alpha 86.10
_cell_angle_beta 89.98
_cell_angle_gamma 89.79
_symmetry_space_group_name_H-M 'P 1'
_symmetry_Int_Tables_number 1
_symmetry_space_group_name_Hall 'P 1'
loop_
_atom_site_label
_atom_site_fract_x
_atom_site_fract_y
_atom_site_fract_z
_atom_site_occupancy
Bi1 0.9992 0.0028 0.0052 1
O1 0.6240 0.4699 0.7620 1
O2 0.1469 0.9834 0.2616 1
O3 0.3707 0.4924 0.2359 1
O4 0.7127 0.8060 0.4296 1
O5 0.6490 0.1779 0.0669 1
O6 0.3318 0.8080 0.9163 1
O7 0.8592 0.9710 0.7423 1
O8 0.3034 0.1806 0.5509 1
O9 0.8224 0.6524 0.0671 1
O10 0.8034 0.2909 0.4366 1
O11 0.1779 0.6888 0.5484 1
O12 0.1994 0.3239 0.9123 1
Li1 0.0020 0.5573 0.3080 1
Li2 0.4978 0.0902 0.7639 1
Li3 0.9922 0.5373 0.7478 1
Li4 0.5068 0.0876 0.3117 1
Te1 0.4992 0.5040 0.0007 1
Te2 0.0012 0.0013 0.5017 1
Fe1 0.5006 0.5165 0.5024 1

# 2
# FeBi2Se2Cl3O7 | the Materials Project | PBE+U | optimized geometry
# - Formation enthalpy at 0 K: -1.357 eV per atom
# - E_tot: -5.114 eV per atom
data_FeBi2Se2Cl3O7
_cell_length_a 7.2422
_cell_length_b 8.7150
_cell_length_c 8.7573
_cell_angle_alpha 73.33
_cell_angle_beta 90.00
_cell_angle_gamma 90.00
_symmetry_space_group_name_H-M 'P 1'
_symmetry_Int_Tables_number 1
_symmetry_space_group_name_Hall 'P 1'
loop_
_atom_site_label
_atom_site_fract_x
_atom_site_fract_y
_atom_site_fract_z
_atom_site_occupancy
O1 0.0616 0.7030 0.3152 1
O2 0.5616 0.2970 0.6848 1
O3 0.4394 0.6296 0.6552 1
O4 0.5606 0.3704 0.3448 1
O5 0.4384 0.7030 0.3152 1
O6 0.7500 0.6040 0.4792 1
O7 0.0606 0.6296 0.6552 1
O8 0.9384 0.2970 0.6848 1
O9 0.2500 0.5635 0.1262 1
O10 0.2500 0.3960 0.5208 1
O11 0.7500 0.5966 0.1249 1
O12 0.2500 0.4034 0.8751 1
O13 0.9394 0.3704 0.3448 1
O14 0.7500 0.4365 0.8738 1
Bi1 0.2500 0.2019 0.7554 1
Bi2 0.7500 0.7981 0.2446 1
Bi3 0.7500 0.7231 0.7315 1
Bi4 0.2500 0.2769 0.2685 1
Cl1 0.9846 0.8819 0.8801 1
Cl2 0.7500 0.9721 0.4763 1
Cl3 0.4846 0.1181 0.1199 1
Cl4 0.2500 0.0279 0.5237 1
Cl5 0.0154 0.1181 0.1199 1
Cl6 0.5154 0.8819 0.8801 1
Se1 0.7500 0.3930 0.2139 1
Se2 0.2500 0.6070 0.7861 1
Se3 0.7500 0.2645 0.8220 1
Se4 0.2500 0.7355 0.1780 1
Fe1 0.5000 0.5000 0.5000 1
Fe2 0.0000 0.5000 0.5000 1

# 3
# V9O13 | the Materials Project | PBE+U | optimized geometry
# - Formation enthalpy at 0 K: -2.276 eV per atom
# - E_tot: -7.814 eV per atom
data_V9O13
_cell_length_a 5.3641
_cell_length_b 5.3641
_cell_length_c 17.7192
_cell_angle_alpha 82.04
_cell_angle_beta 82.04
_cell_angle_gamma 31.82
_symmetry_space_group_name_H-M 'P 1'
_symmetry_Int_Tables_number 1
_symmetry_space_group_name_Hall 'P 1'
loop_
_atom_site_label
_atom_site_fract_x
_atom_site_fract_y
_atom_site_fract_z
_atom_site_occupancy
O1 0.4064 0.4064 0.3283 1
O2 0.5936 0.5936 0.6717 1
O3 0.2904 0.2904 0.9300 1
O4 0.1048 0.1048 0.2320 1
O5 0.6202 0.6202 0.3869 1
O6 0.3798 0.3798 0.6131 1
O7 0.8683 0.8683 0.4723 1
O8 0.8952 0.8952 0.7680 1
O9 0.0000 0.0000 0.0000 1
O10 0.7096 0.7096 0.0700 1
O11 0.5497 0.5497 0.8648 1
O12 0.1317 0.1317 0.5277 1
O13 0.4503 0.4503 0.1352 1
V1 0.5000 0.5000 0.5000 1
V2 0.2584 0.2584 0.4181 1
V3 0.9300 0.9300 0.8753 1
V4 0.7416 0.7416 0.5819 1
V5 0.3571 0.3571 0.0424 1
V6 0.6429 0.6429 0.9576 1
V7 0.9715 0.9715 0.6770 1
V8 0.0700 0.0700 0.1247 1
V9 0.0285 0.0285 0.3230 1

# 4
# NaLi2FePCO7 | the Materials Project | PBE+U | optimized geometry
# - Formation enthalpy at 0 K: -2.325 eV per atom
# - E_tot: -6.619 eV per atom
data_NaLi2FePCO7
_cell_length_a 5.1133
_cell_length_b 11.1632
_cell_length_c 10.6359
_cell_angle_alpha 105.28
_cell_angle_beta 93.75
_cell_angle_gamma 85.50
_symmetry_space_group_name_H-M 'P 1'
_symmetry_Int_Tables_number 1
_symmetry_space_group_name_Hall 'P 1'
loop_
_atom_site_label
_atom_site_fract_x
_atom_site_fract_y
_atom_site_fract_z
_atom_site_occupancy
O1 0.9334 0.9176 0.8471 1
O2 0.1554 0.3079 0.6085 1
O3 0.5810 0.1717 0.6048 1
O4 0.2067 0.1106 0.4350 1
O5 0.3848 0.6657 0.5692 1
O6 0.7934 0.8896 0.5649 1
O7 0.4192 0.3284 0.8952 1
O8 0.9333 0.4177 0.3473 1
O9 0.0667 0.5823 0.6528 1
O10 0.5103 0.4731 0.3130 1
O11 0.3848 0.1657 0.0693 1
O12 0.1553 0.8079 0.1085 1
O13 0.1654 0.1005 0.6717 1
O14 0.6150 0.3342 0.4307 1
O15 0.4897 0.5269 0.6870 1
O16 0.7934 0.3896 0.0650 1
O17 0.5105 0.9732 0.8130 1
O18 0.4189 0.8285 0.3953 1
O19 0.8349 0.3995 0.8283 1
O20 0.4895 0.0268 0.1870 1
O21 0.8447 0.1921 0.8916 1
O22 0.6150 0.8342 0.9306 1
O23 0.0666 0.0823 0.1528 1
O24 0.8346 0.8995 0.3282 1
O25 0.5809 0.6717 0.1049 1
O26 0.1652 0.6005 0.1717 1
O27 0.8445 0.6921 0.3916 1
O28 0.2068 0.6105 0.9350 1
Fe1 0.2125 0.9467 0.2858 1
Fe2 0.7874 0.5537 0.2143 1
Fe3 0.7875 0.0534 0.7142 1
Fe4 0.2130 0.4466 0.7859 1
Na1 0.2654 0.8798 0.6193 1
Na2 0.2653 0.3798 0.1192 1
Na3 0.7347 0.1202 0.3807 1
Na4 0.7349 0.6202 0.8808 1
C1 0.6879 0.9069 0.8644 1
C2 0.3121 0.5930 0.6355 1
C3 0.3120 0.0930 0.1355 1
C4 0.6878 0.4069 0.3645 1
Li1 0.2229 0.3548 0.4444 1
Li2 0.7370 0.3433 0.6273 1
Li3 0.2632 0.1566 0.8728 1
Li4 0.7366 0.8433 0.1272 1
Li5 0.2229 0.8547 0.9443 1
Li6 0.7770 0.6449 0.5555 1
Li7 0.7769 0.1450 0.0556 1
Li8 0.2629 0.6568 0.3728 1
P1 0.2763 0.6701 0.0814 1
P2 0.7238 0.3299 0.9186 1
P3 0.2764 0.1701 0.5814 1
P4 0.7235 0.8300 0.4186 1

# 5
# Li3Mn4O8 | the Materials Project | PBE+U | optimized geometry
# - Formation enthalpy at 0 K: -1.992 eV per atom
# - E_tot: -6.645 eV per atom
data_Li3Mn4O8
_cell_length_a 5.7657
_cell_length_b 9.9552
_cell_length_c 11.4414
_cell_angle_alpha 91.48
_cell_angle_beta 90.02
_cell_angle_gamma 90.02
_symmetry_space_group_name_H-M 'P 1'
_symmetry_Int_Tables_number 1
_symmetry_space_group_name_Hall 'P 1'
loop_
_atom_site_label
_atom_site_fract_x
_atom_site_fract_y
_atom_site_fract_z
_atom_site_occupancy
O1 0.2403 0.3666 0.2813 1
O2 0.4777 0.1970 0.4404 1
O3 0.2447 0.6959 0.9498 1
O4 0.7407 0.6965 0.9456 1
O5 0.9766 0.1143 0.2203 1
O6 0.4903 0.5392 0.1443 1
O7 0.4862 0.8671 0.7876 1
O8 0.4974 0.1328 0.2124 1
O9 0.7409 0.3671 0.2746 1
O10 0.2422 0.6328 0.7253 1
O11 0.9948 0.1989 0.4522 1
O12 0.7400 0.9335 0.3673 1
O13 0.4899 0.8082 0.1534 1
O14 0.2422 0.3032 0.0544 1
O15 0.2410 0.3336 0.6295 1
O16 0.7429 0.6333 0.7187 1
O17 0.7426 0.6666 0.3706 1
O18 0.2406 0.9336 0.3592 1
O19 0.4930 0.1916 0.8463 1
O20 0.9876 0.8054 0.1806 1
O21 0.7430 0.3296 0.6442 1
O22 0.9939 0.4492 0.8607 1
O23 0.2437 0.0666 0.6327 1
O24 0.0072 0.8858 0.7798 1
O25 0.9890 0.5507 0.1394 1
O26 0.2408 0.6705 0.3559 1
O27 0.9954 0.1945 0.8193 1
O28 0.4925 0.4607 0.8556 1
O29 0.7383 0.3037 0.0501 1
O30 0.5062 0.8034 0.5596 1
O31 0.9891 0.8015 0.5479 1
O32 0.7431 0.0666 0.6407 1
Mn1 0.7386 0.6746 0.1242 1
Mn2 0.4894 0.8048 0.3775 1
Mn3 0.2442 0.3253 0.8757 1
Mn4 0.4946 0.1953 0.6226 1
Mn5 0.4884 0.3411 0.1612 1
Mn6 0.9922 0.3443 0.1587 1
Mn7 0.9908 0.6556 0.8412 1
Mn8 0.2452 0.8421 0.6572 1
Mn9 0.4946 0.6586 0.8388 1
Mn10 0.9920 0.8064 0.3722 1
Mn11 0.2357 0.1407 0.3350 1
Mn12 0.7386 0.1580 0.3428 1
Mn13 0.7483 0.8595 0.6651 1
Mn14 0.2416 0.6735 0.1357 1
Mn15 0.9917 0.1938 0.6278 1
Mn16 0.7414 0.3264 0.8642 1
Li1 0.9849 0.5347 0.3150 1
Li2 0.9982 0.4653 0.6850 1
Li3 0.2463 0.0667 0.7960 1
Li4 0.7360 0.9330 0.2040 1
Li5 0.2381 0.9468 0.1865 1
Li6 0.7409 0.1277 0.0929 1
Li7 0.7443 0.0533 0.8136 1
Li8 0.4833 0.4692 0.6819 1
Li9 0.2430 0.8721 0.9074 1
Li10 0.2351 0.3451 0.4594 1
Li11 0.4998 0.5309 0.3180 1
Li12 0.7486 0.6553 0.5407 1

# 6
# LiVF4 | the Materials Project | PBE+U | optimized geometry
# - Formation enthalpy at 0 K: -3.136 eV per atom
# - E_tot: -5.653 eV per atom
data_LiVF4
_cell_length_a 7.0072
_cell_length_b 7.0072
_cell_length_c 7.1970
_cell_angle_alpha 75.66
_cell_angle_beta 75.66
_cell_angle_gamma 83.14
_symmetry_space_group_name_H-M 'P 1'
_symmetry_Int_Tables_number 1
_symmetry_space_group_name_Hall 'P 1'
loop_
_atom_site_label
_atom_site_fract_x
_atom_site_fract_y
_atom_site_fract_z
_atom_site_occupancy
F1 0.4873 0.1956 0.1123 1
F2 0.8044 0.5127 0.8877 1
F3 0.7999 0.1000 0.7837 1
F4 0.1945 0.1945 0.8822 1
F5 0.8041 0.4627 0.4795 1
F6 0.9000 0.2001 0.2163 1
F7 0.5127 0.8044 0.8877 1
F8 0.5373 0.1959 0.5205 1
F9 0.1956 0.4873 0.1123 1
F10 0.1375 0.1375 0.4516 1
F11 0.1000 0.7999 0.7837 1
F12 0.8625 0.8625 0.5484 1
F13 0.1959 0.5373 0.5205 1
F14 0.8055 0.8055 0.1178 1
F15 0.2001 0.9000 0.2163 1
F16 0.4627 0.8041 0.4795 1
V1 0.8094 0.1906 0.5000 1
V2 0.1906 0.8094 0.5000 1
V3 0.7889 0.7889 0.8643 1
V4 0.2111 0.2111 0.1357 1
Li1 0.7475 0.2525 0.0000 1
Li2 0.2767 0.2767 0.6079 1
Li3 0.2525 0.7475 0.0000 1
Li4 0.7233 0.7233 0.3921 1

# 7
# SmMo8O14 | the Materials Project | PBE+U | optimized geometry
# - Formation enthalpy at 0 K: -1.853 eV per atom
# - E_tot: -7.310 eV per atom
data_SmMo8O14
_cell_length_a 8.2248
_cell_length_b 8.2248
_cell_length_c 9.3874
_cell_angle_alpha 90.00
_cell_angle_beta 90.00
_cell_angle_gamma 97.95
_symmetry_space_group_name_H-M 'P 1'
_symmetry_Int_Tables_number 1
_symmetry_space_group_name_Hall 'P 1'
loop_
_atom_site_label
_atom_site_fract_x
_atom_site_fract_y
_atom_site_fract_z
_atom_site_occupancy
O1 0.9533 0.3625 0.7423 1
O2 0.0611 0.7383 0.7476 1
O3 0.1670 0.3143 0.0034 1
O4 0.4533 0.8625 0.7577 1
O5 0.9294 0.6058 0.0201 1
O6 0.4156 0.3217 0.2063 1
O7 0.3369 0.4797 0.7478 1
O8 0.1375 0.5467 0.2423 1
O9 0.7836 0.2164 0.5000 1
O10 0.8116 0.1884 0.0000 1
O11 0.6375 0.0467 0.2577 1
O12 0.1783 0.0844 0.7063 1
O13 0.1857 0.3330 0.5034 1
O14 0.2617 0.9389 0.2524 1
O15 0.9156 0.8217 0.2937 1
O16 0.6670 0.8143 0.4966 1
O17 0.3942 0.0706 0.9799 1
O18 0.8369 0.9797 0.7522 1
O19 0.6783 0.5844 0.7937 1
O20 0.0203 0.1631 0.2478 1
O21 0.5611 0.2383 0.7524 1
O22 0.8942 0.5706 0.5201 1
O23 0.2836 0.7164 0.0000 1
O24 0.7617 0.4389 0.2476 1
O25 0.5203 0.6631 0.2522 1
O26 0.4294 0.1058 0.4799 1
O27 0.3116 0.6884 0.5000 1
O28 0.6857 0.8330 0.9966 1
Mo1 0.7407 0.3969 0.6457 1
Mo2 0.3381 0.4915 0.3567 1
Mo3 0.2407 0.8969 0.8543 1
Mo4 0.8678 0.7577 0.8728 1
Mo5 0.0085 0.1619 0.8567 1
Mo6 0.4631 0.8815 0.3704 1
Mo7 0.2423 0.1322 0.1272 1
Mo8 0.5085 0.6619 0.6433 1
Mo9 0.6031 0.2593 0.3543 1
Mo10 0.1185 0.5369 0.6296 1
Mo11 0.9631 0.3815 0.1296 1
Mo12 0.1031 0.7593 0.1457 1
Mo13 0.6185 0.0369 0.8704 1
Mo14 0.7423 0.6322 0.3728 1
Mo15 0.8381 0.9915 0.1433 1
Mo16 0.3678 0.2577 0.6272 1
Sm1 0.9564 0.0436 0.5000 1
Sm2 0.4564 0.5436 0.0000 1

# 8
# ZnNiP2O7 | the Materials Project | PBE+U | optimized geometry
# - Formation enthalpy at 0 K: -2.310 eV per atom
# - E_tot: -6.415 eV per atom
data_ZnNiP2O7
_cell_length_a 7.0392
_cell_length_b 9.1196
_cell_length_c 9.4625
_cell_angle_alpha 63.37
_cell_angle_beta 104.19
_cell_angle_gamma 112.79
_symmetry_space_group_name_H-M 'P 1'
_symmetry_Int_Tables_number 1
_symmetry_space_group_name_Hall 'P 1'
loop_
_atom_site_label
_atom_site_fract_x
_atom_site_fract_y
_atom_site_fract_z
_atom_site_occupancy
O1 0.2740 0.9155 0.6591 1
O2 0.1165 0.1609 0.5133 1
O3 0.9963 0.7213 0.0709 1
O4 0.3834 0.3391 0.9868 1
O5 0.7471 0.0518 0.8453 1
O6 0.7001 0.9085 0.6380 1
O7 0.7998 0.5914 0.8621 1
O8 0.3471 0.4816 0.6421 1
O9 0.6164 0.6610 0.0133 1
O10 0.2473 0.5512 0.3457 1
O11 0.3006 0.0913 0.3621 1
O12 0.6339 0.1851 0.9822 1
O13 0.1994 0.4087 0.1380 1
O14 0.2527 0.9486 0.1544 1
O15 0.8834 0.8390 0.4866 1
O16 0.3662 0.8147 0.0185 1
O17 0.7738 0.4154 0.1592 1
O18 0.1531 0.0187 0.8580 1
O19 0.2260 0.5846 0.8408 1
O20 0.5037 0.7790 0.4288 1
O21 0.8662 0.3146 0.5183 1
O22 0.4963 0.2215 0.5705 1
O23 0.7262 0.0847 0.3408 1
O24 0.7530 0.4480 0.6549 1
O25 0.1338 0.6854 0.4815 1
O26 0.6532 0.5188 0.3579 1
O27 0.8473 0.9814 0.1421 1
O28 0.0036 0.2786 0.9292 1
P1 0.2005 0.8870 0.0174 1
P2 0.7902 0.5925 0.0223 1
P3 0.2903 0.0925 0.5222 1
P4 0.2095 0.4075 0.9777 1
P5 0.2996 0.6130 0.4825 1
P6 0.7995 0.1129 0.9827 1
P7 0.7097 0.9076 0.4776 1
P8 0.7006 0.3871 0.5173 1
Zn1 0.0057 0.6620 0.6763 1
Zn2 0.4942 0.8379 0.8237 1
Zn3 0.5057 0.1620 0.1764 1
Zn4 0.9941 0.3378 0.3237 1
Ni1 0.4440 0.6042 0.1907 1
Ni2 0.9443 0.1045 0.6907 1
Ni3 0.5557 0.3953 0.8094 1
Ni4 0.0559 0.8957 0.3093 1

# 9
# Ti5Fe11O24 | the Materials Project | PBE+U | optimized geometry
# - Formation enthalpy at 0 K: -2.291 eV per atom
# - E_tot: -7.543 eV per atom
data_Ti5Fe11O24
_cell_length_a 5.1638
_cell_length_b 5.5282
_cell_length_c 17.2129
_cell_angle_alpha 87.99
_cell_angle_beta 98.10
_cell_angle_gamma 117.13
_symmetry_space_group_name_H-M 'P 1'
_symmetry_Int_Tables_number 1
_symmetry_space_group_name_Hall 'P 1'
loop_
_atom_site_label
_atom_site_fract_x
_atom_site_fract_y
_atom_site_fract_z
_atom_site_occupancy
O1 0.9774 0.1439 0.1062 1
O2 0.5376 0.2456 0.4880 1
O3 0.4342 0.0613 0.1901 1
O4 0.5602 0.9173 0.8193 1
O5 0.9593 0.0032 0.2582 1
O6 0.4241 0.5494 0.6869 1
O7 0.9385 0.8303 0.4434 1
O8 0.9998 0.3398 0.3909 1
O9 0.0014 0.0176 0.7301 1
O10 0.9525 0.4785 0.7583 1
O11 0.5006 0.9083 0.3589 1
O12 0.9398 0.2978 0.9460 1
O13 0.5034 0.3817 0.8624 1
O14 0.0288 0.5151 0.2366 1
O15 0.5640 0.4239 0.3074 1
O16 0.0675 0.1943 0.5628 1
O17 0.9697 0.6342 0.6075 1
O18 0.0533 0.8540 0.8841 1
O19 0.5058 0.7781 0.9853 1
O20 0.4755 0.7374 0.5136 1
O21 0.0819 0.6856 0.0687 1
O22 0.5524 0.1277 0.6363 1
O23 0.4496 0.2337 0.0159 1
O24 0.5331 0.6125 0.1364 1
Fe1 0.2814 0.3545 0.2135 1
Fe2 0.7824 0.6090 0.9656 1
Fe3 0.2770 0.8509 0.7120 1
Fe4 0.5243 0.9696 0.0876 1
Fe5 0.4671 0.5201 0.4100 1
Fe6 0.5359 0.4761 0.5869 1
Fe7 0.9697 0.7754 0.1642 1
Fe8 0.0416 0.2263 0.8406 1
Fe9 0.2239 0.9007 0.5382 1
Fe10 0.7174 0.6506 0.7861 1
Fe11 0.0336 0.7322 0.3414 1
Ti1 0.4561 0.0249 0.9052 1
Ti2 0.7901 0.0954 0.4647 1
Ti3 0.2113 0.3980 0.0356 1
Ti4 0.9642 0.2881 0.6668 1
Ti5 0.7136 0.1569 0.2886 1